A plane-wave DFT calculation with PBE-GGA was carried out for La2BiO2 after structural relaxation.

Total DFT energy (no corrections) = -37.17 eV/cell
Symmetry = No. 139
Crystal system = tetragonal
Energy of formation from the pure elements = -2977 meV per atom

```
La2BiO2
1.0
-3.1146 -6.9114 1.4068
-2.9231 -3.6055 6.1566
0.3965 6.3124 -4.4095
La Bi O
2 1 2
Direct
0.6659 0.6659 0.0000
0.3341 0.3341 0.0000
0.0000 0.0000 0.0000
0.7500 0.2500 0.5000
0.2500 0.7500 0.5000
```